# 1
## NaCa2TiSi2O8F (PBE-GGA)

Data for a geometry-optimized NaCa2TiSi2O8F structure.

The structure in extended XYZ format:
```
60
Lattice="5.8043 0.0000 0.0000 0.0037 7.6071 0.0000 0.0964 3.7796 18.9006" Properties=species:S:1:pos:R:3 pbc="T T T"
Na 0.0000 0.0000 0.0000
Na 0.1240 7.5483 18.8837
Na 4.1448 5.3187 9.4521
Na 4.1804 9.4634 9.4118
Ca 1.1517 5.6932 3.3724
Ca 1.1942 1.9165 3.4223
Ca 3.0658 3.8265 12.7821
Ca 3.0835 7.6097 12.7379
Ca 4.6901 9.4959 15.5701
Ca 4.7486 5.6654 15.6022
Ca 5.2953 7.6286 6.2479
Ca 5.3115 3.8472 6.2119
Ti 1.2175 3.2920 9.5449
Ti 1.2429 6.6517 9.5065
Ti 2.6862 5.6701 18.4656
Ti 3.3148 5.6847 0.5479
Si 0.2475 9.4200 12.3401
Si 0.2622 5.8671 12.3304
Si 1.8070 3.6298 16.0653
Si 1.8067 7.7044 15.9989
Si 2.3689 1.8417 6.7372
Si 2.3848 5.8790 6.6821
Si 4.0125 3.6451 2.9339
Si 4.0251 7.7242 3.0052
O 0.1356 2.3417 10.8140
O 0.2305 5.5207 10.7403
O 0.3252 3.7848 15.5115
O 0.3229 7.5718 15.4367
O 1.0599 2.0051 5.8244
O 1.0754 5.6885 5.7816
O 1.5756 5.6962 0.9471
O 1.6757 5.7521 13.0281
O 1.6862 9.4999 13.0082
O 1.7490 1.9029 1.1396
O 1.9181 7.1159 17.5049
O 1.9308 4.1680 17.5880
O 2.1930 5.5316 8.2573
O 2.2038 2.2527 8.2883
O 2.5088 7.5137 10.4141
O 2.6125 3.8944 10.5304
O 2.5824 7.6135 3.6545
O 2.5851 3.7919 3.6034
O 3.1430 3.8081 15.1995
O 3.1549 7.5662 15.1410
O 3.8725 1.9912 6.2289
O 3.8778 5.6918 6.1847
O 4.1199 4.1835 1.4094
O 4.2099 9.4810 17.8556
O 4.1817 7.0886 1.5231
O 4.4299 5.6546 18.0596
O 4.6730 9.5963 13.1508
O 4.6847 5.6272 13.1087
O 5.3878 7.5862 3.8508
O 5.3879 3.8389 3.7434
O 5.6910 3.8852 8.4796
O 5.8256 7.5391 8.5651
F 1.8165 9.4642 16.4022
F 2.3684 7.6683 6.9230
F 4.1959 1.8693 2.5695
F 5.8520 7.6662 12.0026
```

Properties
* M_tot: 0.00 μB per cell
* relative energy among the computed polymorphs: 25 kJ/mol of formula units
* space-group type: P1 (1)

# 2
## Mg3Si4O13 (PBE-GGA)

Data for a geometry-optimized Mg3Si4O13 structure.

The structure in extended XYZ format:
```
20
Lattice="2.6660 -4.6766 0.0000 2.6660 4.6766 0.0000 -1.6449 0.0000 10.1989" Properties=species:S:1:pos:R:3 pbc="T T T"
Mg 0.0000 0.0000 0.0000
Mg 1.0227 1.6464 10.1944
Mg 1.0227 -1.6464 10.1944
Si 1.8140 3.1226 2.7756
Si 1.8781 3.1233 7.4250
Si 1.8140 -3.1226 2.7756
Si 1.8781 -3.1233 7.4250
O 1.8173 3.1142 1.1378
O -0.8083 0.0000 6.8841
O 0.5521 2.3254 6.8731
O 1.8734 3.1157 9.0674
O 1.8789 0.0000 0.8548
O 3.1414 2.3279 3.3363
O 1.8143 0.0000 4.8000
O 0.5521 -2.3254 6.8731
O 1.8178 0.0000 9.3412
O 1.8173 -3.1142 1.1378
O 3.1414 -2.3279 3.3363
O 4.4978 0.0000 3.3233
O 1.8734 -3.1157 9.0674
```

Properties
* M_tot: 1.32 μB per cell
* space-group type: Cm (8)

# 3
## Cs3B12H12Br (PBE-GGA)

Data for a geometry-optimized Cs3B12H12Br structure.

The structure in extended XYZ format:
```
28
Lattice="5.3167 3.0696 4.0047 -5.3167 3.0696 4.0047 0.0000 -6.1392 4.0047" Properties=species:S:1:pos:R:3 pbc="T T T"
Cs -2.6584 -1.5348 4.0047
Cs -2.6583 1.5348 8.0094
Cs 0.0000 3.0696 4.0047
B 0.0000 -1.0270 1.3464
B -0.8894 0.5135 1.3464
B 0.0000 -4.4766 4.3236
B -3.8768 2.2383 4.3236
B -3.8768 -2.2383 7.6905
B 0.8894 0.5135 1.3464
B -0.8894 -0.5135 10.6677
B 3.8768 2.2383 4.3236
B 3.8768 -2.2383 7.6905
B 0.0000 4.4766 7.6905
B 0.8894 -0.5135 10.6677
B 0.0000 1.0270 10.6677
H 0.0000 -1.7637 2.2982
H -1.5274 0.8818 2.2982
H 0.0000 -3.2927 4.5594
H -2.8515 1.6463 4.5594
H -2.8515 -1.6463 7.4547
H 1.5274 0.8818 2.2982
H -1.5274 -0.8818 9.7159
H 2.8515 1.6463 4.5594
H 2.8515 -1.6463 7.4547
H 0.0000 3.2927 7.4547
H 1.5274 -0.8818 9.7159
H 0.0000 1.7637 9.7159
Br 0.0000 0.0000 6.0070
```

Properties
* M_tot: 0.00 μB per cell
* space-group type: R-3m (166)

# 4
## LuAlO3 (PBE-GGA)

Data for a geometry-optimized LuAlO3 structure.

The structure in extended XYZ format:
```
5
Lattice="3.6772 0.0000 0.0000 0.0000 3.6772 0.0000 0.0000 0.0000 3.6772" Properties=species:S:1:pos:R:3 pbc="T T T"
Lu 0.0000 0.0000 0.0000
Al 1.8386 1.8386 1.8386
O 0.0000 1.8386 1.8386
O 1.8386 0.0000 1.8386
O 1.8386 1.8386 0.0000
```

Properties
* M_tot: 0.00 μB per cell
* space-group type: Pm-3m (221)

# 5
## Th2Co17 (PBE-GGA)

Data for a geometry-optimized Th2Co17 structure.

The structure in extended XYZ format:
```
19
Lattice="4.1854 2.4165 4.0597 -4.1854 2.4165 4.0597 0.0000 -4.8329 4.0597" Properties=species:S:1:pos:R:3 pbc="T T T"
Th 0.0000 0.0000 1.9059
Th 0.0000 0.0000 10.2732
Co -2.0927 -1.2082 4.0597
Co 0.0000 -2.3807 3.8847
Co -2.0618 1.1904 3.8847
Co -1.1913 -2.0633 6.0896
Co -2.3825 0.0000 6.0896
Co -2.0618 -1.1904 8.2944
Co 0.0000 0.0000 4.9088
Co -2.0927 1.2082 8.1194
Co 1.1913 -2.0633 6.0896
Co 0.0000 2.4165 4.0597
Co -1.1913 2.0633 6.0896
Co 0.0000 0.0000 7.2703
Co 2.0618 1.1904 3.8848
Co 2.3825 0.0000 6.0896
Co 1.1913 2.0633 6.0896
Co 2.0618 -1.1904 8.2944
Co 0.0000 2.3807 8.2944
```

Properties
* space-group type: R-3m (166)

# 6
## KMg6CO8 (PBE-GGA)

Data for a geometry-optimized KMg6CO8 structure.

The structure in extended XYZ format:
```
16
Lattice="4.8066 0.0000 0.0000 0.0000 4.8066 0.0000 0.0000 0.0000 7.8775" Properties=species:S:1:pos:R:3 pbc="T T T"
K 0.0000 0.0000 0.0000
Mg 0.0000 2.4033 2.0191
Mg 0.0000 2.4033 5.8583
Mg 2.4033 0.0000 2.0191
Mg 2.4033 0.0000 5.8583
Mg 2.4033 2.4033 0.0000
Mg 2.4033 2.4033 3.9387
C 0.0000 0.0000 3.9387
O 0.0000 0.0000 2.6532
O 0.0000 0.0000 5.2243
O 0.0000 2.4033 0.0000
O 0.0000 2.4033 3.9387
O 2.4033 0.0000 0.0000
O 2.4033 0.0000 3.9387
O 2.4033 2.4033 1.9667
O 2.4033 2.4033 5.9108
```

Properties
* M_tot: 0.91 μB per cell
* relative energy among the computed polymorphs: 0 kJ/mol of formula units
* space-group type: P4/mmm (123)

# 7
## Sm2In3Co9 (PBE-GGA)

Data for a geometry-optimized Sm2In3Co9 structure.

The structure in extended XYZ format:
```
14
Lattice="4.0332 0.0000 0.0000 0.0063 4.8999 0.0000 0.0132 2.4380 11.1009" Properties=species:S:1:pos:R:3 pbc="T T T"
Sm 0.0000 0.0000 0.0000
Sm 0.0297 4.8880 8.0613
In 0.0293 2.4122 4.0122
In 2.0339 2.4384 8.5111
In 2.0483 4.8986 10.6670
Co 0.0186 4.8708 2.6618
Co 0.0250 2.4154 6.6575
Co 0.0295 2.4305 1.3924
Co 0.0409 4.8532 5.3913
Co 2.0363 4.8524 4.0422
Co 2.0456 6.0987 6.0703
Co 2.0398 1.2247 1.9986
Co 2.0520 3.6159 2.0027
Co 2.0618 3.6158 6.0819
```

Properties
* M_tot: 11.84 μB per cell
* space-group type: P1 (1)

# 8
## Sn7Ir2Os (PBE-GGA)

Data for a geometry-optimized Sn7Ir2Os structure.

The structure in extended XYZ format:
```
20
Lattice="0.0000 6.7147 6.7091 4.7612 0.0000 6.7091 4.7612 6.7147 0.0000" Properties=species:S:1:pos:R:3 pbc="T T T"
Sn 6.3117 4.5139 5.0014
Sn 6.3016 6.7147 2.8160
Sn 4.7612 1.6725 6.7091
Sn 2.3806 3.3574 1.6874
Sn 3.2208 6.7147 2.8160
Sn 3.2107 4.5139 5.0014
Sn 6.3117 8.9156 5.0014
Sn 6.3213 6.7147 7.2142
Sn 4.7612 5.0180 10.0539
Sn 7.1419 10.0721 8.3965
Sn 3.2107 8.9156 5.0014
Sn 3.2012 6.7147 7.2142
Sn 4.7612 11.7570 6.7091
Sn 4.7612 8.4114 10.0539
Ir 8.0338 6.7147 5.0121
Ir 4.7612 4.4202 7.3056
Ir 4.7612 9.0092 7.3056
Ir 1.4886 6.7147 5.0121
Os 4.7612 4.4016 2.7004
Os 4.7612 9.0278 2.7004
```

Properties
* M_tot: 0.00 μB per cell
* space-group type: Fmm2 (42)

# 9
## Li2V2S5 (PBE-GGA)

Data for a geometry-optimized Li2V2S5 structure.

The structure in extended XYZ format:
```
18
Lattice="5.0096 -3.1157 0.0000 5.0096 3.1157 0.0000 -4.8637 0.0000 10.5364" Properties=species:S:1:pos:R:3 pbc="T T T"
Li 0.3636 0.7856 3.3678
Li -2.0682 -0.7856 8.6360
Li 7.2238 0.7856 1.9004
Li 4.7919 -0.7856 7.1685
V 3.8420 0.9285 0.5536
V 3.7454 0.9285 4.7146
V 1.4101 -0.9285 5.8218
V 1.3136 -0.9285 9.9828
S 3.7937 2.1055 2.6341
S 1.8792 0.0150 0.3438
S -0.5527 -0.0150 5.6120
S -0.0112 0.6704 9.0391
S 2.7348 0.6704 6.7655
S 2.4207 -0.6704 3.7709
S 5.1667 -0.6704 1.4973
S 5.7082 0.0150 4.9244
S 3.2763 -0.0150 10.1926
S 1.3618 -2.1055 7.9023
```

Properties
* M_tot: 4.00 μB per cell
* space-group type: C2/c (15)

# 10
## TaSi2 (PBE-GGA)

Data for a geometry-optimized TaSi2 structure.

The structure in extended XYZ format:
```
9
Lattice="4.8060 0.0000 0.0000 -2.4030 4.1621 0.0000 0.0000 0.0000 6.6037" Properties=species:S:1:pos:R:3 pbc="T T T"
Ta -1.2015 2.0811 1.1006
Ta 2.4030 0.0000 3.3018
Ta 1.2015 2.0811 5.5031
Si 0.0000 1.3245 3.3018
Si -1.2559 3.4999 5.5031
Si 1.1471 0.6623 1.1006
Si 1.2559 3.4999 1.1006
Si 3.6589 0.6623 5.5031
Si 2.4030 2.8376 3.3018
```

Properties
* M_tot: 0.00 μB per cell
* space-group type: P6_222 (180)

# 11
## CaCo2As2 (PBE-GGA)

Data for a geometry-optimized CaCo2As2 structure.

The structure in extended XYZ format:
```
5
Lattice="-2.0045 2.0045 5.1896 2.0045 -2.0045 5.1896 2.0045 2.0045 -5.1896" Properties=species:S:1:pos:R:3 pbc="T T T"
Ca 0.0000 0.0000 0.0000
Co 2.0045 0.0000 2.5948
Co 0.0000 2.0045 2.5948
As 0.0000 0.0000 3.7905
As 0.0000 0.0000 6.5886
```

Properties
* space-group type: I4/mmm (139)

# 12
## CsCr5Se8 (PBE-GGA)

Data for a geometry-optimized CsCr5Se8 structure.

The structure in extended XYZ format:
```
14
Lattice="9.5491 -1.8585 0.0000 9.5491 1.8585 0.0000 -2.3219 0.0000 8.9278" Properties=species:S:1:pos:R:3 pbc="T T T"
Cs 0.0000 0.0000 0.0000
Cr 1.9282 0.0000 4.3169
Cr 1.9686 0.0000 7.4472
Cr 8.3882 0.0000 4.4639
Cr 14.8078 0.0000 1.4807
Cr 14.8482 0.0000 4.6109
Se -0.0844 0.0000 5.8315
Se 4.1865 0.0000 3.0531
Se 6.2247 0.0000 0.1047
Se 6.3095 0.0000 5.9172
Se 10.4668 0.0000 3.0106
Se 10.5517 0.0000 8.8231
Se 12.5898 0.0000 5.8747
Se 16.8607 0.0000 3.0963
```

Properties
* space-group type: C2/m (12)

# 13
## EuZnAu2 (PBE-GGA)

Data for a geometry-optimized EuZnAu2 structure.

The structure in extended XYZ format:
```
4
Lattice="0.0000 3.5370 3.5370 3.5370 0.0000 3.5370 3.5370 3.5370 0.0000" Properties=species:S:1:pos:R:3 pbc="T T T"
Eu 0.0000 0.0000 0.0000
Zn 3.5370 3.5370 3.5370
Au 1.7685 1.7685 1.7685
Au 5.3056 5.3056 5.3056
```

Properties
* M_tot: 6.91 μB per cell
* space-group type: Fm-3m (225)

# 14
## Th4UTe5 (PBE-GGA)

Data for a geometry-optimized Th4UTe5 structure.

The structure in extended XYZ format:
```
10
Lattice="3.8260 0.0000 0.0000 0.0000 3.8260 0.0000 0.0000 0.0000 19.2300" Properties=species:S:1:pos:R:3 pbc="T T T"
Th 0.0000 0.0000 1.9237
Th 0.0000 0.0000 5.7761
Th 0.0000 0.0000 13.4539
Th 0.0000 0.0000 17.3063
U 0.0000 0.0000 9.6150
Te 1.9130 1.9130 0.0000
Te 1.9130 1.9130 3.8458
Te 1.9130 1.9130 7.7110
Te 1.9130 1.9130 11.5190
Te 1.9130 1.9130 15.3842
```

Properties
* M_tot: 3.62 μB per cell
* space-group type: P4/mmm (123)

# 15
## Mg30TiCO32 (PBE-GGA)

Data for a geometry-optimized Mg30TiCO32 structure.

The structure in extended XYZ format:
```
64
Lattice="8.5776 0.0000 0.0000 0.0000 8.5776 0.0000 0.0000 0.0000 8.4807" Properties=species:S:1:pos:R:3 pbc="T T T"
Mg 0.0000 0.0000 0.0000
Mg 0.0000 2.1199 2.1528
Mg 0.0000 2.1199 6.3279
Mg 0.0000 4.2888 0.0000
Mg 0.0000 4.2888 4.2403
Mg 0.0000 6.4578 2.1528
Mg 0.0000 6.4578 6.3279
Mg 2.0710 2.0710 4.2403
Mg 2.0710 6.5066 4.2403
Mg 2.1140 4.2888 2.1042
Mg 2.1140 4.2888 6.3765
Mg 2.1199 0.0000 2.1528
Mg 2.1199 0.0000 6.3279
Mg 2.1280 2.1280 0.0000
Mg 2.1280 6.4496 0.0000
Mg 4.2888 0.0000 0.0000
Mg 4.2888 0.0000 4.2403
Mg 4.2888 2.1140 2.1042
Mg 4.2888 2.1140 6.3765
Mg 4.2888 4.2888 0.0000
Mg 4.2888 6.4637 2.1042
Mg 4.2888 6.4637 6.3765
Mg 6.4496 2.1280 0.0000
Mg 6.4496 6.4496 0.0000
Mg 6.4578 0.0000 2.1528
Mg 6.4578 0.0000 6.3279
Mg 6.4637 4.2888 2.1042
Mg 6.4637 4.2888 6.3765
Mg 6.5066 2.0710 4.2403
Mg 6.5066 6.5066 4.2403
Ti 4.2888 4.2888 4.2403
C 0.0000 0.0000 4.2403
O 0.0000 0.0000 2.0642
O 0.0000 0.0000 6.4164
O 0.0000 2.1491 0.0000
O 0.0000 2.3494 4.2403
O 0.0000 4.2888 2.0970
O 0.0000 4.2888 6.3837
O 0.0000 6.2282 4.2403
O 0.0000 6.4285 0.0000
O 2.1467 2.1467 2.1293
O 2.1467 2.1467 6.3514
O 2.1467 6.4309 2.1293
O 2.1467 6.4309 6.3514
O 2.1491 0.0000 0.0000
O 2.1615 4.2888 0.0000
O 2.2404 4.2888 4.2403
O 2.3494 0.0000 4.2403
O 4.2888 0.0000 2.0970
O 4.2888 0.0000 6.3837
O 4.2888 2.1615 0.0000
O 4.2888 2.2404 4.2403
O 4.2888 4.2888 2.1473
O 4.2888 4.2888 6.3334
O 4.2888 6.3372 4.2403
O 4.2888 6.4161 0.0000
O 6.2282 0.0000 4.2403
O 6.3372 4.2888 4.2403
O 6.4161 4.2888 0.0000
O 6.4285 0.0000 0.0000
O 6.4309 2.1467 2.1293
O 6.4309 2.1467 6.3514
O 6.4309 6.4309 2.1293
O 6.4309 6.4309 6.3514
```

Properties
* M_tot: 2.00 μB per cell
* space-group type: P4/mmm (123)

Number 1: E_tot -107.7 eV/f.u., formation energy -3.2054 eV per atom. Number 2: E_tot -135.9 eV/f.u., formation energy -2.7011 eV per atom. Number 3: E_tot -138.8 eV/f.u., formation energy -0.5067 eV per atom. Number 4: E_tot -38.8 eV/f.u., formation energy -3.5497 eV per atom. Number 5: E_tot -137.9 eV/f.u., formation energy -0.1162 eV per atom. Number 6: E_tot -87.6 eV/f.u., formation energy -2.0999 eV per atom. Number 7: E_tot -82.3 eV/f.u., formation energy -0.0424 eV per atom. Number 8: E_tot -58.9 eV/f.u., formation energy -0.1970 eV per atom. Number 9: E_tot -51.1 eV/f.u., formation energy -1.2184 eV per atom. Number 10: E_tot -24.1 eV/f.u., formation energy -0.4301 eV per atom. Number 11: E_tot -28.6 eV/f.u., formation energy -0.6117 eV per atom. Number 12: E_tot -86.2 eV/f.u., formation energy -0.9186 eV per atom. Number 13: E_tot -20.1 eV/f.u., formation energy -0.5034 eV per atom. Number 14: E_tot -66.2 eV/f.u., formation energy -1.1663 eV per atom. Number 15: E_tot -385.1 eV/f.u., formation energy -2.8686 eV per atom.